Entry 1:
ErAsPd | PBE-GGA | optimized geometry

abc: 7.020 4.113 7.944
angles: 90.00 90.00 90.00
Space group Pnma (No. 62)
Asymmetric unit:
Er: 0.032 0.250 0.191
As: 0.247 0.250 0.879
Pd: 0.142 0.250 0.562

Output
Formation enthalpy at 0 K in meV per atom: -1188

Entry 2:
AlPO4 | PBE-GGA | optimized geometry

abc: 14.020 24.369 8.636
angles: 90.00 90.00 90.00
Space group Pcc2 (No. 27)
Asymmetric unit:
Al: 0.104 0.061 0.000
Al: 0.111 0.274 0.011
Al: 0.207 0.167 0.510
Al: 0.291 0.331 0.515
Al: 0.393 0.226 0.021
Al: 0.394 0.438 0.024
P: 0.104 0.275 0.633
P: 0.107 0.060 0.627
P: 0.209 0.164 0.137
P: 0.294 0.332 0.143
P: 0.390 0.438 0.645
P: 0.392 0.225 0.648
O: 0.002 0.290 0.584
O: 0.011 0.079 0.558
O: 0.096 0.056 0.802
O: 0.114 0.280 0.810
O: 0.127 0.216 0.582
O: 0.138 0.004 0.563
O: 0.143 0.207 0.062
O: 0.171 0.317 0.556
O: 0.185 0.102 0.589
O: 0.188 0.161 0.311
O: 0.190 0.108 0.062
O: 0.190 0.320 0.097
O: 0.308 0.320 0.317
O: 0.314 0.180 0.113
O: 0.315 0.392 0.108
O: 0.318 0.398 0.573
O: 0.324 0.187 0.559
O: 0.363 0.295 0.051
O: 0.363 0.496 0.593
O: 0.366 0.285 0.616
O: 0.385 0.214 0.823
O: 0.387 0.434 0.822
O: 0.491 0.423 0.590
O: 0.494 0.212 0.595

Output
Formation enthalpy at 0 K in meV per atom: -3107

Entry 3:
Na3AsH22S2O13 | PBE-GGA | optimized geometry

abc: 12.634 14.327 9.687
angles: 90.00 90.00 90.00
Space group Pnma (No. 62)
Asymmetric unit:
Na: 0.000 0.000 0.000
Na: 0.229 0.096 0.005
As: 0.088 0.250 0.537
H: 0.017 0.180 0.926
H: 0.063 0.144 0.785
H: 0.063 0.564 0.617
H: 0.089 0.640 0.337
H: 0.091 0.100 0.252
H: 0.098 0.042 0.610
H: 0.132 0.507 0.241
H: 0.169 0.550 0.809
H: 0.169 0.750 0.656
H: 0.187 0.659 0.235
H: 0.198 0.615 0.938
H: 0.212 0.250 0.207
S: 0.028 0.250 0.326
S: 0.239 0.750 0.042
O: 0.040 0.152 0.622
O: 0.067 0.135 0.890
O: 0.112 0.050 0.188
O: 0.126 0.524 0.621
O: 0.162 0.618 0.309
O: 0.168 0.554 0.911
O: 0.243 0.750 0.624

Output
Formation enthalpy at 0 K in meV per atom: -1309

Entry 4:
Li4CaB10H4O20 | PBE-GGA | optimized geometry

abc: 8.397 8.878 9.546
angles: 90.00 90.00 90.00
Space group Pnc2 (No. 30)
Asymmetric unit:
Li: 0.176 0.048 0.000
Li: 0.323 0.558 0.802
Ca: 0.500 0.000 0.679
B: 0.000 0.000 0.276
B: 0.069 0.739 0.901
B: 0.183 0.223 0.261
B: 0.320 0.725 0.553
B: 0.429 0.249 0.412
B: 0.500 0.000 0.023
H: 0.177 0.139 0.586
H: 0.182 0.625 0.168
O: 0.072 0.195 0.860
O: 0.101 0.099 0.191
O: 0.105 0.592 0.871
O: 0.175 0.676 0.478
O: 0.252 0.167 0.658
O: 0.285 0.675 0.174
O: 0.323 0.162 0.340
O: 0.398 0.592 0.608
O: 0.403 0.097 0.923
O: 0.434 0.682 0.964

Output
Formation enthalpy at 0 K in meV per atom: -2628